[1]
Material: Cu6PbO8
Method: DFT, PBE-GGA
State: relaxed

- total energy (eV per cell) = -74.13
- DFT formation energy (eV per formula unit) = -11.7
- energy above the lowest structure with this stoichiometry (meV/atom) = 255
- crystal system = cubic

a b c (Å): 6.1014 6.1014 6.1014
angles (deg): 60.00 60.00 60.00
Element x y z (fractional)
Cu (0.0000, 0.0000, 0.5000)
Cu (0.0000, 0.5000, 0.0000)
Cu (0.0000, 0.5000, 0.5000)
Cu (0.5000, 0.0000, 0.0000)
Cu (0.5000, 0.0000, 0.5000)
Cu (0.5000, 0.5000, 0.0000)
Pb (0.0000, 0.0000, 0.0000)
O (0.2500, 0.2500, 0.2500)
O (0.2515, 0.2515, 0.7485)
O (0.2515, 0.7485, 0.2515)
O (0.2515, 0.7485, 0.7485)
O (0.7485, 0.2515, 0.2515)
O (0.7485, 0.2515, 0.7485)
O (0.7485, 0.7485, 0.2515)
O (0.7500, 0.7500, 0.7500)

[2]
Material: Cu6PbO8
Method: DFT, PBE-GGA
State: relaxed

- total energy (eV per cell) = -77.96
- DFT formation energy (eV per formula unit) = -15.6
- energy above the lowest structure with this stoichiometry (meV/atom) = 0
- crystal system = cubic

a b c (Å): 6.6056 6.6056 6.6056
angles (deg): 60.00 60.00 60.00
Element x y z (fractional)
Cu (0.0000, 0.0000, 0.5000)
Cu (0.0000, 0.5000, 0.0000)
Cu (0.0000, 0.5000, 0.5000)
Cu (0.5000, 0.0000, 0.0000)
Cu (0.5000, 0.0000, 0.5000)
Cu (0.5000, 0.5000, 0.0000)
Pb (0.0000, 0.0000, 0.0000)
O (0.1442, 0.1442, 0.1442)
O (0.1442, 0.1442, 0.5673)
O (0.1442, 0.5673, 0.1442)
O (0.4327, 0.8558, 0.8558)
O (0.5673, 0.1442, 0.1442)
O (0.8558, 0.4327, 0.8558)
O (0.8558, 0.8558, 0.4327)
O (0.8558, 0.8558, 0.8558)